This record from Materials Project describes crystalline TiS2 at its relaxed geometry. The functional is GGA-PBE.

a = 3.421 Å, b = 3.421 Å, c = 20.183 Å
α = 90.00°, β = 90.00°, γ = 120.00°
Element x y z (fractional)
Ti 0.000 0.000 0.500
Ti 0.000 0.000 0.854
Ti 0.000 0.000 0.146
S 0.333 0.667 0.570
S 0.333 0.667 0.924
S 0.333 0.667 0.216
S 0.667 0.333 0.784
S 0.667 0.333 0.076
S 0.667 0.333 0.430

Properties
M_tot	0.0	μB/cell
mass density	2.73	g/cm³
ΔH_f (0 K)	-1.606	eV/atom

This record from Materials Project describes crystalline NaSr6H17Pd2O17 at its relaxed geometry. The functional is GGA-PBE.

a = 7.035 Å, b = 13.682 Å, c = 19.760 Å
α = 90.00°, β = 90.00°, γ = 89.64°
Element x y z (fractional)
Na 0.248 0.252 0.000
Na 0.752 0.248 0.500
Na 0.752 0.748 0.000
Na 0.248 0.752 0.500
Sr 0.064 0.449 0.913
Sr 0.562 0.057 0.584
Sr 0.936 0.051 0.413
Sr 0.438 0.443 0.084
Sr 0.936 0.551 0.087
Sr 0.438 0.943 0.416
Sr 0.064 0.949 0.587
Sr 0.562 0.557 0.916
Sr 0.448 0.252 0.714
Sr 0.948 0.249 0.786
Sr 0.552 0.248 0.214
Sr 0.052 0.251 0.286
Sr 0.552 0.748 0.286
Sr 0.052 0.751 0.214
Sr 0.448 0.752 0.786
Sr 0.948 0.749 0.714
Sr 0.082 0.064 0.915
Sr 0.583 0.436 0.586
Sr 0.918 0.436 0.415
Sr 0.417 0.064 0.086
Sr 0.918 0.936 0.085
Sr 0.417 0.564 0.414
Sr 0.082 0.564 0.585
Sr 0.583 0.936 0.914
H 0.325 0.367 0.835
H 0.825 0.133 0.665
H 0.675 0.133 0.335
H 0.175 0.367 0.165
H 0.675 0.633 0.165
H 0.175 0.867 0.335
H 0.325 0.867 0.665
H 0.825 0.633 0.835
H 0.363 0.149 0.823
H 0.863 0.351 0.678
H 0.637 0.351 0.323
H 0.137 0.149 0.178
H 0.637 0.851 0.177
H 0.137 0.649 0.322
H 0.363 0.649 0.677
H 0.863 0.851 0.822
H 0.374 0.251 0.571
H 0.869 0.246 0.927
H 0.626 0.249 0.071
H 0.131 0.254 0.427
H 0.626 0.749 0.429
H 0.131 0.754 0.073
H 0.374 0.751 0.929
H 0.869 0.746 0.573
H 0.522 0.369 0.945
H 0.024 0.133 0.557
H 0.478 0.131 0.445
H 0.976 0.367 0.057
H 0.478 0.631 0.055
H 0.976 0.867 0.443
H 0.522 0.869 0.555
H 0.024 0.633 0.943
H 0.021 0.230 0.633
H 0.520 0.271 0.867
H 0.979 0.270 0.133
H 0.480 0.229 0.367
H 0.979 0.770 0.367
H 0.480 0.729 0.133
H 0.021 0.730 0.867
H 0.520 0.771 0.633
H 0.185 0.126 0.665
H 0.683 0.376 0.836
H 0.815 0.374 0.165
H 0.317 0.124 0.336
H 0.815 0.874 0.335
H 0.317 0.624 0.164
H 0.185 0.626 0.835
H 0.683 0.876 0.664
H 0.495 0.138 0.929
H 0.995 0.362 0.570
H 0.505 0.362 0.429
H 0.005 0.138 0.070
H 0.505 0.862 0.071
H 0.005 0.638 0.430
H 0.495 0.638 0.571
H 0.995 0.862 0.930
H 0.188 0.372 0.655
H 0.689 0.128 0.845
H 0.812 0.128 0.155
H 0.311 0.372 0.345
H 0.812 0.628 0.345
H 0.311 0.872 0.155
H 0.188 0.872 0.845
H 0.689 0.628 0.655
H 0.230 0.634 0.012
H 0.770 0.866 0.512
H 0.770 0.366 0.988
H 0.230 0.134 0.488
Pd 0.258 0.999 0.754
Pd 0.758 0.501 0.746
Pd 0.742 0.501 0.254
Pd 0.242 0.999 0.246
Pd 0.742 0.001 0.246
Pd 0.242 0.499 0.254
Pd 0.258 0.499 0.746
Pd 0.758 0.001 0.754
O 0.241 0.134 0.801
O 0.741 0.367 0.700
O 0.759 0.366 0.301
O 0.259 0.133 0.200
O 0.759 0.866 0.199
O 0.259 0.633 0.300
O 0.241 0.634 0.699
O 0.741 0.867 0.800
O 0.270 0.433 0.653
O 0.771 0.067 0.847
O 0.730 0.067 0.153
O 0.229 0.433 0.347
O 0.730 0.567 0.347
O 0.229 0.933 0.153
O 0.270 0.933 0.847
O 0.771 0.567 0.653
O 0.507 0.247 0.585
O 0.003 0.257 0.916
O 0.493 0.253 0.085
O 0.997 0.243 0.416
O 0.493 0.753 0.415
O 0.997 0.743 0.084
O 0.507 0.747 0.915
O 0.003 0.757 0.584
O 0.266 0.067 0.661
O 0.763 0.435 0.840
O 0.734 0.433 0.161
O 0.237 0.065 0.340
O 0.734 0.933 0.339
O 0.237 0.565 0.160
O 0.266 0.567 0.839
O 0.763 0.935 0.660
O 0.242 0.366 0.794
O 0.743 0.135 0.706
O 0.758 0.134 0.294
O 0.257 0.365 0.206
O 0.758 0.634 0.206
O 0.257 0.865 0.294
O 0.242 0.866 0.706
O 0.743 0.635 0.794
O 0.393 0.377 0.929
O 0.896 0.127 0.575
O 0.607 0.123 0.429
O 0.104 0.373 0.075
O 0.607 0.623 0.071
O 0.104 0.873 0.425
O 0.393 0.877 0.571
O 0.896 0.627 0.925
O 0.249 0.565 0.000
O 0.751 0.935 0.500
O 0.751 0.435 0.000
O 0.249 0.065 0.500
O 0.096 0.264 0.667
O 0.596 0.237 0.833
O 0.904 0.236 0.167
O 0.404 0.263 0.333
O 0.904 0.736 0.333
O 0.404 0.763 0.167
O 0.096 0.764 0.833
O 0.596 0.737 0.667
O 0.422 0.093 0.957
O 0.924 0.408 0.543
O 0.578 0.407 0.457
O 0.076 0.092 0.043
O 0.578 0.907 0.043
O 0.076 0.592 0.457
O 0.422 0.593 0.543
O 0.924 0.908 0.957

Properties
M_tot	0.0	μB/cell
mass density	3.67	g/cm³
ΔH_f (0 K)	-1.831	eV/atom

This record from Materials Project describes crystalline Cu2AsO5 at its relaxed geometry. The functional is GGA-PBE.

a = 5.894 Å, b = 8.125 Å, c = 8.875 Å
α = 90.00°, β = 90.00°, γ = 90.00°
Element x y z (fractional)
Cu 0.500 0.849 0.612
Cu 0.500 0.151 0.388
Cu 0.000 0.651 0.112
Cu 0.000 0.349 0.888
Cu 0.252 0.500 0.500
Cu 0.248 0.000 0.000
Cu 0.748 0.500 0.500
Cu 0.752 0.000 0.000
As 0.500 0.762 0.250
As 0.500 0.238 0.750
As 0.000 0.738 0.750
As 0.000 0.262 0.250
O 0.500 0.910 0.394
O 0.500 0.090 0.606
O 0.000 0.590 0.894
O 0.000 0.410 0.106
O 0.500 0.865 0.076
O 0.500 0.135 0.924
O 0.000 0.635 0.576
O 0.000 0.365 0.424
O 0.500 0.627 0.571
O 0.500 0.373 0.429
O 0.000 0.873 0.071
O 0.000 0.127 0.929
O 0.743 0.648 0.265
O 0.743 0.352 0.735
O 0.757 0.852 0.765
O 0.757 0.148 0.235
O 0.257 0.352 0.735
O 0.257 0.648 0.265
O 0.243 0.148 0.235
O 0.243 0.852 0.765

Properties
mass density	4.41	g/cm³
ΔH_f (0 K)	-1.224	eV/atom
E above lowest polymorph	2	meV/atom

This record from Materials Project describes crystalline Cu3BiS3 at its relaxed geometry. The functional is GGA-PBE.

a = 6.766 Å, b = 7.744 Å, c = 10.441 Å
α = 90.00°, β = 90.00°, γ = 90.00°
Element x y z (fractional)
Cu 0.860 0.649 0.598
Cu 0.360 0.851 0.402
Cu 0.140 0.149 0.902
Cu 0.640 0.351 0.098
Cu 0.924 0.812 0.897
Cu 0.424 0.688 0.103
Cu 0.076 0.312 0.603
Cu 0.576 0.188 0.397
Cu 0.026 0.942 0.536
Cu 0.526 0.558 0.464
Cu 0.974 0.442 0.964
Cu 0.474 0.058 0.036
Bi 0.370 0.694 0.756
Bi 0.870 0.806 0.244
Bi 0.630 0.194 0.744
Bi 0.130 0.306 0.256
S 0.108 0.946 0.748
S 0.608 0.554 0.252
S 0.892 0.446 0.752
S 0.392 0.054 0.248
S 0.586 0.819 0.569
S 0.086 0.681 0.431
S 0.414 0.319 0.931
S 0.914 0.181 0.069
S 0.595 0.821 0.938
S 0.095 0.679 0.062
S 0.405 0.321 0.562
S 0.905 0.179 0.438

Properties
M_tot	0.0	μB/cell
mass density	6.02	g/cm³
ΔH_f (0 K)	-0.418	eV/atom

This record from Materials Project describes crystalline Nb2O3 at its relaxed geometry. The functional is GGA-PBE.

a = 6.087 Å, b = 6.087 Å, c = 7.587 Å
α = 68.33°, β = 68.33°, γ = 27.28°
Element x y z (fractional)
Nb 0.163 0.163 0.155
Nb 0.837 0.837 0.845
Nb 0.340 0.340 0.358
Nb 0.660 0.660 0.642
O 0.139 0.139 0.447
O 0.861 0.861 0.553
O 0.190 0.190 0.847
O 0.810 0.810 0.153
O 0.474 0.474 0.794
O 0.526 0.526 0.206

Properties
M_tot	0.0	μB/cell
mass density	6.51	g/cm³
ΔH_f (0 K)	-2.573	eV/atom

This record from Materials Project describes crystalline TiSiPt at its relaxed geometry. The functional is GGA-PBE.

a = 3.823 Å, b = 6.371 Å, c = 7.398 Å
α = 90.00°, β = 90.00°, γ = 90.00°
Element x y z (fractional)
Ti 0.250 0.027 0.325
Ti 0.250 0.527 0.175
Ti 0.750 0.973 0.675
Ti 0.750 0.473 0.825
Si 0.250 0.258 0.624
Si 0.250 0.758 0.876
Si 0.750 0.742 0.376
Si 0.750 0.242 0.124
Pt 0.250 0.149 0.935
Pt 0.250 0.649 0.565
Pt 0.750 0.851 0.065
Pt 0.750 0.351 0.435

Properties
mass density	9.99	g/cm³
ΔH_f (0 K)	-1.007	eV/atom